Record 1
Here is an optimized crystal structure of Tb3Cu20Sb11 from the Materials Project database. Energies are from PBE.

Output
- total magnetization (μB per formula unit) = 0.051

Lattice parameters (Å, degrees): 16.919 16.919 16.919 90.00 90.00 90.00
Space group F-43m (No. 216)
Asymmetric unit:
Tb1 0.000 0.000 0.240 x24
Cu1 0.002 0.191 0.809 x48
Cu2 0.051 0.051 0.551 x16
Cu3 0.136 0.136 0.253 x48
Cu4 0.136 0.136 0.745 x48
Sb1 0.001 0.156 0.344 x48
Sb2 0.102 0.102 0.102 x16
Sb3 0.103 0.103 0.897 x16
Sb4 0.250 0.250 0.250 x4
Sb5 0.250 0.250 0.750 x4



Record 2
Here is an optimized crystal structure of Na5Ta2Al2Si3P3O24 from the Materials Project database. Energies are from PBE.

Output
- total magnetization (μB per formula unit) = 0.000

Lattice parameters (Å, degrees): 8.786 8.791 22.171 89.60 89.59 60.11
Space group P1 (No. 1)
Asymmetric unit:
Na1 0.000 0.000 0.000 x1
Na2 0.001 0.005 0.499 x1
Na3 0.016 0.629 0.254 x1
Na4 0.298 0.676 0.419 x1
Na5 0.324 0.331 0.834 x1
Na6 0.332 0.323 0.334 x1
Na7 0.343 0.695 0.088 x1
Na8 0.368 0.633 0.752 x1
Na9 0.630 0.015 0.753 x1
Na10 0.634 0.367 0.252 x1
Na11 0.664 0.672 0.667 x1
Na12 0.671 0.671 0.166 x1
Na13 0.678 0.296 0.919 x1
Na14 0.697 0.338 0.588 x1
Na15 0.966 0.700 0.584 x1
Ta1 0.000 0.011 0.150 x1
Ta2 0.010 0.002 0.651 x1
Ta3 0.336 0.335 0.484 x1
Ta4 0.341 0.328 0.983 x1
Ta5 0.670 0.671 0.818 x1
Ta6 0.672 0.668 0.318 x1
Al1 0.002 0.002 0.858 x1
Al2 0.004 0.999 0.358 x1
Al3 0.335 0.338 0.191 x1
Al4 0.345 0.327 0.691 x1
Al5 0.661 0.683 0.525 x1
Al6 0.680 0.665 0.025 x1
Si1 0.019 0.280 0.258 x1
Si2 0.282 0.017 0.759 x1
Si3 0.289 0.713 0.256 x1
Si4 0.346 0.621 0.590 x1
Si5 0.620 0.039 0.590 x1
Si6 0.625 0.342 0.090 x1
Si7 0.685 0.947 0.924 x1
Si8 0.714 0.289 0.757 x1
Si9 0.953 0.680 0.424 x1
P1 0.011 0.709 0.757 x1
P2 0.043 0.619 0.090 x1
P3 0.051 0.338 0.590 x1
P4 0.345 0.045 0.091 x1
P5 0.373 0.680 0.924 x1
P6 0.379 0.956 0.423 x1
P7 0.683 0.372 0.424 x1
P8 0.712 0.008 0.257 x1
P9 0.957 0.378 0.924 x1
O1 0.030 0.171 0.594 x1
O2 0.031 0.163 0.315 x1
O3 0.034 0.803 0.094 x1
O4 0.039 0.797 0.811 x1
O5 0.129 0.512 0.147 x1
O6 0.137 0.370 0.644 x1
O7 0.139 0.365 0.929 x1
O8 0.153 0.500 0.427 x1
O9 0.163 0.813 0.594 x1
O10 0.165 0.028 0.815 x1
O11 0.166 0.303 0.533 x1
O12 0.166 0.800 0.315 x1
O13 0.167 0.534 0.034 x1
O14 0.171 0.528 0.747 x1
O15 0.177 0.024 0.094 x1
O16 0.179 0.316 0.246 x1
O17 0.193 0.837 0.914 x1
O18 0.199 0.973 0.415 x1
O19 0.203 0.832 0.195 x1
O20 0.206 0.962 0.698 x1
O21 0.301 0.537 0.530 x1
O22 0.307 0.163 0.033 x1
O23 0.314 0.180 0.748 x1
O24 0.317 0.515 0.248 x1
O25 0.362 0.506 0.929 x1
O26 0.365 0.138 0.145 x1
O27 0.365 0.139 0.428 x1
O28 0.370 0.501 0.648 x1
O29 0.465 0.697 0.980 x1
O30 0.467 0.835 0.477 x1
O31 0.482 0.834 0.763 x1
O32 0.488 0.688 0.262 x1
O33 0.498 0.634 0.867 x1
O34 0.498 0.869 0.366 x1
O35 0.500 0.859 0.082 x1
O36 0.501 0.371 0.148 x1
O37 0.503 0.149 0.928 x1
O38 0.506 0.364 0.427 x1
O39 0.508 0.133 0.650 x1
O40 0.517 0.317 0.749 x1
O41 0.521 0.634 0.578 x1
O42 0.531 0.169 0.247 x1
O43 0.533 0.308 0.030 x1
O44 0.534 0.172 0.532 x1
O45 0.638 0.496 0.366 x1
O46 0.640 0.517 0.079 x1
O47 0.643 0.869 0.862 x1
O48 0.655 0.842 0.582 x1
O49 0.691 0.487 0.762 x1
O50 0.699 0.464 0.480 x1
O51 0.699 0.827 0.981 x1
O52 0.699 0.837 0.261 x1
O53 0.797 0.038 0.311 x1
O54 0.802 0.164 0.815 x1
O55 0.817 0.162 0.093 x1
O56 0.818 0.025 0.595 x1
O57 0.835 0.202 0.696 x1
O58 0.835 0.965 0.200 x1
O59 0.836 0.466 0.978 x1
O60 0.836 0.480 0.263 x1
O61 0.837 0.694 0.483 x1
O62 0.839 0.192 0.414 x1
O63 0.839 0.697 0.762 x1
O64 0.846 0.984 0.915 x1
O65 0.861 0.641 0.081 x1
O66 0.866 0.495 0.582 x1
O67 0.868 0.642 0.363 x1
O68 0.871 0.496 0.866 x1
O69 0.964 0.202 0.198 x1
O70 0.968 0.828 0.698 x1
O71 0.975 0.198 0.916 x1
O72 0.985 0.845 0.415 x1



no.,E_tot (eV/atom),MP2020-corrected energy (eV per cell),calculated formation energy (eV/f.u.)
1,-4.3317,-1195.1,-8.08
2,-7.3994,-915.2,-115.98